VASP calculation (meta-GGA r2SCAN) on a geometry-optimized MnVHPbO5 structure.

Total DFT energy (no corrections) (eV/atom): -15.160
Theoretical density (g/cm³): 5.9
Size of the total moment (μB/atom): 0.556

a b c (Å): 6.174 7.599 9.458
angles (deg): 90.00 90.00 90.00
Atoms (fractional coordinates):
Mn1 0.000 0.500 0.500
Mn2 0.500 0.500 0.500
Mn3 0.000 0.000 0.000
Mn4 0.500 0.000 0.000
V1 0.250 0.635 0.810
V2 0.750 0.865 0.310
V3 0.250 0.135 0.690
V4 0.750 0.365 0.190
H1 0.250 0.772 0.478
H2 0.750 0.728 0.978
H3 0.250 0.272 0.022
H4 0.750 0.228 0.522
Pb1 0.250 0.632 0.176
Pb2 0.750 0.868 0.676
Pb3 0.250 0.132 0.324
Pb4 0.750 0.368 0.824
O1 0.750 0.542 0.085
O2 0.013 0.626 0.706
O3 0.487 0.626 0.706
O4 0.250 0.658 0.427
O5 0.750 0.684 0.427
O6 0.250 0.816 0.927
O7 0.750 0.842 0.927
O8 0.513 0.874 0.206
O9 0.987 0.874 0.206
O10 0.250 0.958 0.585
O11 0.750 0.042 0.415
O12 0.013 0.126 0.794
O13 0.487 0.126 0.794
O14 0.250 0.158 0.073
O15 0.750 0.184 0.073
O16 0.250 0.316 0.573
O17 0.750 0.342 0.573
O18 0.513 0.374 0.294
O19 0.987 0.374 0.294
O20 0.250 0.458 0.915

VASP calculation (meta-GGA r2SCAN) on a geometry-optimized Mn2H2SO6 structure.

Total DFT energy (no corrections) (eV/atom): -8.525
Theoretical density (g/cm³): 3.7
Size of the total moment (μB/atom): 0.182

a b c (Å): 5.803 6.611 6.611
angles (deg): 66.83 70.03 70.03
Atoms (fractional coordinates):
Mn1 0.191 0.642 0.847
Mn2 0.809 0.358 0.153
Mn3 0.309 0.153 0.358
Mn4 0.691 0.847 0.642
H1 0.196 0.040 0.780
H2 0.304 0.220 0.960
H3 0.804 0.960 0.220
H4 0.696 0.780 0.040
S1 0.250 0.685 0.315
S2 0.750 0.315 0.685
O1 0.079 0.674 0.544
O2 0.421 0.456 0.326
O3 0.579 0.544 0.674
O4 0.921 0.326 0.456
O5 0.798 0.684 0.945
O6 0.702 0.055 0.316
O7 0.202 0.316 0.055
O8 0.298 0.945 0.684
O9 0.898 0.253 0.850
O10 0.602 0.150 0.747
O11 0.102 0.747 0.150
O12 0.398 0.850 0.253

VASP calculation (meta-GGA r2SCAN) on a geometry-optimized MoH8S4N2 structure.

Total DFT energy (no corrections) (eV/atom): -7.390
Theoretical density (g/cm³): 2.1
Size of the total moment (μB/atom): 0.000

a b c (Å): 7.085 9.653 12.170
angles (deg): 90.00 90.00 90.00
Atoms (fractional coordinates):
Mo1 0.750 0.253 0.569
Mo2 0.750 0.753 0.931
Mo3 0.250 0.747 0.431
Mo4 0.250 0.247 0.069
H1 0.750 0.767 0.636
H2 0.750 0.267 0.864
H3 0.250 0.233 0.364
H4 0.250 0.733 0.136
H5 0.750 0.600 0.675
H6 0.750 0.100 0.825
H7 0.250 0.400 0.325
H8 0.250 0.900 0.175
H9 0.868 0.650 0.561
H10 0.632 0.150 0.939
H11 0.368 0.350 0.439
H12 0.132 0.850 0.061
H13 0.132 0.350 0.439
H14 0.368 0.850 0.061
H15 0.632 0.650 0.561
H16 0.868 0.150 0.939
H17 0.750 0.000 0.268
H18 0.750 0.500 0.232
H19 0.250 0.000 0.732
H20 0.250 0.500 0.768
H21 0.750 0.007 0.405
H22 0.750 0.507 0.095
H23 0.250 0.993 0.595
H24 0.250 0.493 0.905
H25 0.633 0.879 0.340
H26 0.867 0.379 0.160
H27 0.133 0.121 0.660
H28 0.367 0.621 0.840
H29 0.367 0.121 0.660
H30 0.133 0.621 0.840
H31 0.867 0.879 0.340
H32 0.633 0.379 0.160
S1 0.750 0.033 0.615
S2 0.750 0.533 0.885
S3 0.250 0.967 0.385
S4 0.250 0.467 0.115
S5 0.750 0.275 0.392
S6 0.750 0.775 0.108
S7 0.250 0.725 0.608
S8 0.250 0.225 0.892
S9 0.499 0.355 0.636
S10 0.001 0.855 0.864
S11 0.999 0.645 0.364
S12 0.501 0.145 0.136
S13 0.501 0.645 0.364
S14 0.999 0.145 0.136
S15 0.001 0.355 0.636
S16 0.499 0.855 0.864
N1 0.750 0.667 0.609
N2 0.750 0.167 0.891
N3 0.250 0.333 0.391
N4 0.250 0.833 0.109
N5 0.750 0.942 0.338
N6 0.750 0.442 0.162
N7 0.250 0.058 0.662
N8 0.250 0.558 0.838

VASP calculation (meta-GGA r2SCAN) on a geometry-optimized NiPH6NO5 structure.

Total DFT energy (no corrections) (eV/atom): -7.059
Theoretical density (g/cm³): 2.8
Size of the total moment (μB/atom): 0.143

a b c (Å): 4.697 5.541 8.797
angles (deg): 90.00 90.00 90.00
Atoms (fractional coordinates):
Ni1 0.072 0.000 0.981
Ni2 0.572 0.500 0.019
P1 0.498 0.000 0.190
P2 0.998 0.500 0.810
H1 0.489 0.141 0.816
H2 0.489 0.859 0.816
H3 0.989 0.359 0.184
H4 0.989 0.641 0.184
H5 0.751 0.000 0.460
H6 0.251 0.500 0.540
H7 0.115 0.000 0.455
H8 0.615 0.500 0.545
H9 0.941 0.153 0.592
H10 0.941 0.847 0.592
H11 0.441 0.347 0.408
H12 0.441 0.653 0.408
N1 0.937 0.000 0.526
N2 0.437 0.500 0.474
O1 0.365 0.000 0.802
O2 0.865 0.500 0.198
O3 0.817 0.000 0.165
O4 0.317 0.500 0.835
O5 0.350 0.222 0.114
O6 0.350 0.778 0.114
O7 0.850 0.278 0.886
O8 0.850 0.722 0.886
O9 0.438 0.000 0.362
O10 0.938 0.500 0.638

VASP calculation (meta-GGA r2SCAN) on a geometry-optimized RbH4SNO4 structure.

Total DFT energy (no corrections) (eV/atom): -7.517
Theoretical density (g/cm³): 2.7
Size of the total moment (μB/atom): 0.000

a b c (Å): 6.091 7.608 10.588
angles (deg): 90.00 90.00 90.00
Atoms (fractional coordinates):
Rb1 0.750 0.321 0.106
Rb2 0.250 0.179 0.606
Rb3 0.750 0.821 0.394
Rb4 0.250 0.679 0.894
H1 0.750 0.534 0.795
H2 0.115 0.380 0.328
H3 0.250 0.466 0.205
H4 0.250 0.574 0.346
H5 0.615 0.620 0.672
H6 0.615 0.120 0.828
H7 0.885 0.120 0.828
H8 0.115 0.880 0.172
H9 0.750 0.926 0.846
H10 0.385 0.380 0.328
H11 0.750 0.426 0.654
H12 0.250 0.966 0.295
H13 0.885 0.620 0.672
H14 0.385 0.880 0.172
H15 0.750 0.034 0.705
H16 0.250 0.074 0.154
S1 0.250 0.734 0.568
S2 0.750 0.766 0.068
S3 0.250 0.234 0.932
S4 0.750 0.266 0.432
N1 0.250 0.453 0.301
N2 0.750 0.047 0.801
N3 0.750 0.547 0.699
N4 0.250 0.953 0.199
O1 0.750 0.727 0.931
O2 0.551 0.187 0.374
O3 0.250 0.043 0.910
O4 0.551 0.687 0.126
O5 0.949 0.187 0.374
O6 0.051 0.313 0.874
O7 0.250 0.543 0.590
O8 0.949 0.687 0.126
O9 0.750 0.227 0.569
O10 0.750 0.957 0.090
O11 0.449 0.813 0.626
O12 0.250 0.773 0.431
O13 0.750 0.457 0.410
O14 0.051 0.813 0.626
O15 0.250 0.273 0.069
O16 0.449 0.313 0.874

VASP calculation (meta-GGA r2SCAN) on a geometry-optimized RbH2N structure.

Total DFT energy (no corrections) (eV/atom): -7.903
Theoretical density (g/cm³): 2.8
Size of the total moment (μB/atom): 0.000

a b c (Å): 4.841 3.947 6.412
angles (deg): 90.00 98.92 90.00
Atoms (fractional coordinates):
Rb1 0.204 0.250 0.301
Rb2 0.796 0.750 0.699
H1 0.336 0.450 0.870
H2 0.664 0.950 0.130
H3 0.664 0.550 0.130
H4 0.336 0.050 0.870
N1 0.290 0.250 0.768
N2 0.710 0.750 0.232

VASP calculation (meta-GGA r2SCAN) on a geometry-optimized NaH9O5 structure.

Total DFT energy (no corrections) (eV/atom): -5.440
Theoretical density (g/cm³): 1.4
Distance to the lowest polymorph of the same formula (meV per atom): 14
Size of the total moment (μB/atom): 0.000

a b c (Å): 4.107 7.784 9.215
angles (deg): 70.78 78.27 75.42
Atoms (fractional coordinates):
Na1 0.554 0.763 0.141
Na2 0.464 0.207 0.854
H1 0.781 0.028 0.387
H2 0.991 0.254 0.367
H3 0.424 0.839 0.628
H4 0.726 0.356 0.160
H5 0.547 0.481 0.012
H6 0.070 0.493 0.958
H7 0.260 0.630 0.815
H8 0.532 0.104 0.194
H9 0.152 0.103 0.192
H10 0.828 0.868 0.816
H11 0.448 0.865 0.821
H12 0.078 0.548 0.307
H13 0.980 0.724 0.363
H14 0.094 0.075 0.707
H15 0.865 0.620 0.610
H16 0.060 0.269 0.595
H17 0.378 0.255 0.368
H18 0.009 0.791 0.610
O1 0.765 0.147 0.309
O2 0.212 0.847 0.699
O3 0.710 0.476 0.080
O4 0.285 0.500 0.886
O5 0.381 0.080 0.133
O6 0.606 0.888 0.878
O7 0.033 0.686 0.268
O8 0.030 0.207 0.708
O9 0.140 0.319 0.395
O10 0.866 0.748 0.553

VASP calculation (meta-GGA r2SCAN) on a geometry-optimized NaH9O5 structure.

Total DFT energy (no corrections) (eV/atom): -5.454
Theoretical density (g/cm³): 1.5
Distance to the lowest polymorph of the same formula (meV per atom): 0
Size of the total moment (μB/atom): 0.000

a b c (Å): 7.838 7.838 9.278
angles (deg): 64.47 64.47 29.85
Atoms (fractional coordinates):
Na1 0.452 0.457 0.857
Na2 0.543 0.548 0.143
H1 0.197 0.198 0.601
H2 0.802 0.803 0.399
H3 0.454 0.064 0.975
H4 0.268 0.263 0.822
H5 0.936 0.546 0.025
H6 0.737 0.732 0.178
H7 0.841 0.456 0.799
H8 0.454 0.842 0.798
H9 0.544 0.159 0.201
H10 0.158 0.546 0.202
H11 0.041 0.042 0.612
H12 0.926 0.930 0.667
H13 0.958 0.959 0.388
H14 0.070 0.074 0.333
H15 0.003 0.606 0.609
H16 0.606 0.004 0.609
H17 0.394 0.997 0.391
H18 0.996 0.394 0.391
O1 0.223 0.225 0.678
O2 0.775 0.777 0.322
O3 0.293 0.288 0.903
O4 0.712 0.707 0.097
O5 0.608 0.609 0.859
O6 0.391 0.392 0.141
O7 0.976 0.979 0.708
O8 0.021 0.024 0.292
O9 0.849 0.849 0.569
O10 0.151 0.151 0.431

VASP calculation (meta-GGA r2SCAN) on a geometry-optimized NaH9O5 structure.

Total DFT energy (no corrections) (eV/atom): -5.435
Theoretical density (g/cm³): 1.4
Distance to the lowest polymorph of the same formula (meV per atom): 19
Size of the total moment (μB/atom): 0.000

a b c (Å): 4.130 7.710 9.188
angles (deg): 80.29 78.14 74.97
Atoms (fractional coordinates):
Na1 0.474 0.192 0.856
Na2 0.536 0.808 0.144
H1 0.453 0.770 0.642
H2 0.549 0.228 0.360
H3 0.067 0.502 0.971
H4 0.267 0.607 0.831
H5 0.715 0.392 0.171
H6 0.543 0.497 0.030
H7 0.839 0.839 0.824
H8 0.460 0.839 0.828
H9 0.542 0.159 0.174
H10 0.163 0.163 0.175
H11 0.120 0.030 0.709
H12 0.934 0.547 0.596
H13 0.887 0.969 0.291
H14 0.079 0.453 0.394
H15 0.037 0.726 0.621
H16 0.944 0.774 0.378
H17 0.062 0.226 0.623
H18 0.963 0.276 0.379
O1 0.234 0.800 0.709
O2 0.767 0.199 0.292
O3 0.287 0.493 0.902
O4 0.691 0.506 0.100
O5 0.613 0.870 0.885
O6 0.390 0.130 0.115
O7 0.047 0.161 0.724
O8 0.960 0.839 0.276
O9 0.901 0.675 0.562
O10 0.097 0.328 0.437

What is the formula in the third record?
MoH8S4N2